# Pr4Te3N2

Crystalline Pr4Te3N2 at its relaxed geometry (GGA-PBE, the Materials Project).

Values from the calculation:
As for the formation energy: -1.5708 eV/atom. The value obtained for the mass density is 6.34 Mg/m³. As for the symmetry: No. 62. For the energy with MP2020 corrections, the calculation gives -6.596 eV/atom.

Cell: 7.4747 11.8507 11.5286 Å, 90.00 90.00 90.00°
Fractional positions:
Pr: 0.0902 0.2500 0.1595
Pr: 0.1457 0.0500 0.8902
Pr: 0.1457 0.4500 0.8902
Pr: 0.2280 0.2500 0.5310
Pr: 0.2720 0.7500 0.0310
Pr: 0.3543 0.5500 0.3902
Pr: 0.3543 0.9500 0.3902
Pr: 0.4098 0.7500 0.6595
Pr: 0.5902 0.2500 0.3405
Pr: 0.6457 0.0500 0.6098
Pr: 0.6457 0.4500 0.6098
Pr: 0.7280 0.2500 0.9690
Pr: 0.7720 0.7500 0.4690
Pr: 0.8543 0.5500 0.1098
Pr: 0.8543 0.9500 0.1098
Pr: 0.9098 0.7500 0.8405
Te: 0.0661 0.5787 0.6354
Te: 0.0661 0.9213 0.6354
Te: 0.0824 0.7500 0.2729
Te: 0.4176 0.2500 0.7729
Te: 0.4339 0.0787 0.1354
Te: 0.4339 0.4213 0.1354
Te: 0.5661 0.5787 0.8646
Te: 0.5661 0.9213 0.8646
Te: 0.5824 0.7500 0.2271
Te: 0.9176 0.2500 0.7271
Te: 0.9339 0.0787 0.3646
Te: 0.9339 0.4213 0.3646
N: 0.0536 0.6219 0.9671
N: 0.0536 0.8781 0.9671
N: 0.4464 0.1219 0.4671
N: 0.4464 0.3781 0.4671
N: 0.5536 0.6219 0.5329
N: 0.5536 0.8781 0.5329
N: 0.9464 0.1219 0.0329
N: 0.9464 0.3781 0.0329


# PrThN2

Crystalline PrThN2 at its relaxed geometry (GGA-PBE, the Materials Project).

Values from the calculation:
As for the formation energy: -1.6392 eV/atom. The value obtained for the mass density is 9.52 Mg/m³. As for the symmetry: No. 123. For the energy with MP2020 corrections, the calculation gives -8.856 eV/atom.

Cell: 3.6770 3.6770 5.1733 Å, 90.00 90.00 90.00°
Fractional positions:
Pr: 0.0000 0.0000 0.0000
Th: 0.5000 0.5000 0.5000
N: 0.0000 0.0000 0.5000
N: 0.5000 0.5000 0.0000


# PrUN2

Crystalline PrUN2 at its relaxed geometry (GGA-PBE, the Materials Project).

Values from the calculation:
As for the formation energy: -1.3856 eV/atom. The value obtained for the mass density is 10.59 Mg/m³. As for the symmetry: No. 123. For the energy with MP2020 corrections, the calculation gives -9.572 eV/atom. Its total magnetization is 2.1 μB per cell.

Cell: 3.5673 3.5673 5.0121 Å, 90.00 90.00 90.00°
Fractional positions:
Pr: 0.0000 0.0000 0.0000
U: 0.5000 0.5000 0.5000
N: 0.0000 0.0000 0.5000
N: 0.5000 0.5000 0.0000


# PrUN2

Crystalline PrUN2 at its relaxed geometry (GGA-PBE, the Materials Project).

Values from the calculation:
As for the formation energy: -1.5417 eV/atom. The value obtained for the mass density is 10.70 Mg/m³. As for the symmetry: No. 166. For the energy with MP2020 corrections, the calculation gives -9.728 eV/atom.

Cell: 3.5345 3.5345 17.5122 Å, 90.00 90.00 120.00°
Fractional positions:
Pr: 0.0000 0.0000 0.0000
Pr: 0.3333 0.6667 0.6667
Pr: 0.6667 0.3333 0.3333
U: 0.0000 0.0000 0.5000
U: 0.3333 0.6667 0.1667
U: 0.6667 0.3333 0.8333
N: 0.0000 0.0000 0.2341
N: 0.0000 0.0000 0.7659
N: 0.3333 0.6667 0.4326
N: 0.3333 0.6667 0.9007
N: 0.6667 0.3333 0.0993
N: 0.6667 0.3333 0.5674


# PtN

Crystalline PtN at its relaxed geometry (GGA-PBE, the Materials Project).

Values from the calculation:
As for the formation energy: 1.2044 eV/atom. The value obtained for the mass density is 15.31 Mg/m³. As for the symmetry: No. 225. For the energy with MP2020 corrections, the calculation gives -5.999 eV/atom. Its total magnetization is 0.1 μB per cell.

Cell: 4.4928 4.4928 4.4928 Å, 90.00 90.00 90.00°
Fractional positions:
Pt: 0.0000 0.0000 0.0000
Pt: 0.0000 0.5000 0.5000
Pt: 0.5000 0.0000 0.5000
Pt: 0.5000 0.5000 0.0000
N: 0.0000 0.0000 0.5000
N: 0.0000 0.5000 0.0000
N: 0.5000 0.0000 0.0000
N: 0.5000 0.5000 0.5000


# PtN

Crystalline PtN at its relaxed geometry (GGA-PBE, the Materials Project).

Values from the calculation:
As for the formation energy: 0.9568 eV/atom. The value obtained for the mass density is 12.70 Mg/m³. As for the symmetry: No. 216. For the energy with MP2020 corrections, the calculation gives -6.247 eV/atom. Its total magnetization is 0.0 μB per cell.

Cell: 4.7815 4.7815 4.7815 Å, 90.00 90.00 90.00°
Fractional positions:
Pt: 0.0000 0.0000 0.0000
Pt: 0.0000 0.5000 0.5000
Pt: 0.5000 0.0000 0.5000
Pt: 0.5000 0.5000 0.0000
N: 0.2500 0.2500 0.2500
N: 0.2500 0.7500 0.7500
N: 0.7500 0.2500 0.7500
N: 0.7500 0.7500 0.2500


# PtN2

Crystalline PtN2 at its relaxed geometry (GGA-PBE, the Materials Project).

Values from the calculation:
As for the formation energy: 0.2148 eV/atom. The value obtained for the mass density is 12.84 Mg/m³. As for the symmetry: No. 205. For the energy with MP2020 corrections, the calculation gives -7.367 eV/atom. Its total magnetization is 0.0 μB per cell.

Cell: 4.8687 4.8687 4.8687 Å, 90.00 90.00 90.00°
Fractional positions:
Pt: 0.0000 0.0000 0.0000
Pt: 0.0000 0.5000 0.5000
Pt: 0.5000 0.0000 0.5000
Pt: 0.5000 0.5000 0.0000
N: 0.0839 0.5839 0.9161
N: 0.0839 0.9161 0.4161
N: 0.4161 0.0839 0.9161
N: 0.4161 0.4161 0.4161
N: 0.5839 0.5839 0.5839
N: 0.5839 0.9161 0.0839
N: 0.9161 0.0839 0.5839
N: 0.9161 0.4161 0.0839


# PtN2

Crystalline PtN2 at its relaxed geometry (GGA-PBE, the Materials Project).

Values from the calculation:
As for the formation energy: 0.2536 eV/atom. The value obtained for the mass density is 12.61 Mg/m³. As for the symmetry: No. 58. For the energy with MP2020 corrections, the calculation gives -7.328 eV/atom. Its total magnetization is 0.0 μB per cell.

Cell: 3.7644 4.8759 3.2003 Å, 90.00 90.00 90.00°
Fractional positions:
Pt: 0.0000 0.0000 0.0000
Pt: 0.5000 0.5000 0.5000
N: 0.1491 0.4149 0.0000
N: 0.3509 0.9149 0.5000
N: 0.6491 0.0851 0.5000
N: 0.8509 0.5851 0.0000